[1]
Density functional theory data (PBE) for crystalline Ba2Mg2Ti3Tl2O10 at its relaxed geometry.

Calculated values
* energy: -128.024 eV per formula unit
* M_tot: 1.55 μB/f.u.

Lattice parameters (Å, degrees): 3.8913 3.8969 19.4514 84.26 84.68 89.51
Last column: nearest neighbours and their distance in Å.
Space group P1 (No. 1)
Asymmetric unit:
Ba (0.0000, 0.0000, 0.0000) x1  1 O 2.46
Ba (0.2858, 0.3290, 0.3655) x1  1 O 2.46
Mg (0.1007, 0.1075, 0.7752) x1  6 O 2.14-2.29
Mg (0.1604, 0.2145, 0.5900) x1  6 O 2.13-2.29
Ti (0.5624, 0.5626, 0.8525) x1  2 O 1.79-2.00
Ti (0.6878, 0.7493, 0.5130) x1  2 O 1.79-2.00
Ti (0.7229, 0.7506, 0.6829) x1  4 O 1.87-2.07
Tl (0.4303, 0.4227, 0.1219) x1  2 O 2.29-2.54
Tl (0.8644, 0.8640, 0.2438) x1  2 O 2.28-2.53
O (0.0720, 0.5686, 0.8264) x1  2 Ti 2.00-2.02, 2 Mg 2.14-2.23
O (0.1729, 0.7303, 0.5393) x1  2 Ti 2.00-2.02, 2 Mg 2.15-2.21
O (0.2476, 0.8267, 0.6832) x1  2 Ti 1.87-2.07
O (0.3753, 0.2947, 0.2396) x1  2 Tl 2.29-2.53, 1 Ba 2.46
O (0.5277, 0.5245, 0.9452) x1  1 Ti 1.79
O (0.5682, 0.0730, 0.8264) x1  2 Ti 2.00-2.02, 2 Mg 2.15-2.21
O (0.6686, 0.2340, 0.5390) x1  2 Ti 2.00-2.02, 2 Mg 2.13-2.23
O (0.7348, 0.8037, 0.4204) x1  1 Ti 1.79
O (0.7992, 0.2760, 0.6822) x1  2 Ti 1.87-2.07
O (0.9139, 0.8533, 0.1261) x1  2 Tl 2.28-2.54, 1 Ba 2.46

***

[2]
Density functional theory data (PBE) for crystalline RbSb2Au3S5 at its relaxed geometry.

Calculated values
* energy: -43.915 eV per formula unit
* M_tot: 0.00 μB/f.u.

Lattice parameters (Å, degrees): 12.7968 26.6450 7.1582 90.00 90.00 90.00
Last column: nearest neighbours and their distance in Å.
Space group Pnnm (No. 58)
Asymmetric unit:
Rb (0.1614, 0.0693, 0.0000) x4  9 S 3.43-3.83
Rb (0.1778, 0.4835, 0.0000) x4  7 S 3.38-3.69
Sb (0.0328, 0.3746, 0.5000) x4  3 S 2.54-2.61
Sb (0.0476, 0.8837, 0.5000) x4  3 S 2.45-2.52
Sb (0.0670, 0.6541, 0.0000) x4  3 S 2.50-2.61
Sb (0.1820, 0.8955, 0.0000) x4  3 S 2.47-2.51
Au (0.0142, 0.7666, 0.2509) x8  2 S 2.34-2.35
Au (0.1857, 0.3062, 0.2465) x8  2 S 2.34-2.35
Au (0.1936, 0.1809, 0.5000) x4  2 S 2.34
Au (0.2314, 0.2128, 0.0000) x4  2 S 2.34-2.35
S (0.0553, 0.1876, 0.0000) x4  3 Au 2.35
S (0.0856, 0.5892, 0.2495) x8  2 Sb 2.50-2.54
S (0.0864, 0.7212, 0.5000) x4  3 Au 2.34
S (0.0938, 0.9465, 0.2499) x8  2 Sb 2.51-2.52
S (0.1350, 0.3582, 0.0000) x4  2 Au 2.34, 1 Sb 2.61
S (0.1394, 0.0972, 0.5000) x4  1 Au 2.34, 1 Sb 2.45
S (0.1620, 0.4504, 0.5000) x4  2 Sb 2.47-2.61
S (0.2413, 0.7628, 0.0000) x4  3 Au 2.34-2.35

***

[3]
Density functional theory data (PBE) for crystalline Na14In4Si9Sn4S3O48 at its relaxed geometry.

Calculated values
* energy: -510.643 eV per formula unit
* M_tot: 0.00 μB/f.u.

Lattice parameters (Å, degrees): 9.1894 15.9079 22.6903 90.33 90.05 90.02
Last column: nearest neighbours and their distance in Å.
Space group P1 (No. 1)
Asymmetric unit:
Na (0.0000, 0.0000, 0.0000) x1  5 O 2.41-2.69
Na (0.0010, 0.0397, 0.3289) x1  5 O 2.45-2.72
Na (0.0161, 0.7118, 0.6678) x1  6 O 2.47-2.75
Na (0.1271, 0.2094, 0.1715) x1  5 O 2.44-2.63
Na (0.1401, 0.8463, 0.1651) x1  5 O 2.43-2.70
Na (0.1415, 0.5015, 0.4959) x1  6 O 2.43-2.71
Na (0.1424, 0.5473, 0.8270) x1  6 O 2.40-2.67
Na (0.1731, 0.8571, 0.8323) x1  5 O 2.47-2.69
Na (0.1879, 0.1940, 0.4896) x1  5 O 2.49-2.56
Na (0.1990, 0.5238, 0.1608) x1  6 O 2.44-2.65
Na (0.3123, 0.6893, 0.7470) x1  6 O 2.46-2.71
Na (0.3131, 0.3686, 0.0812) x1  4 O 2.44-2.67
Na (0.3161, 0.0262, 0.9147) x1  6 O 2.43-2.70
Na (0.3197, 0.0268, 0.4111) x1  6 O 2.52-2.62
Na (0.3207, 0.6950, 0.2481) x1  6 O 2.49-2.74
Na (0.3253, 0.3625, 0.5730) x1  5 O 2.46-2.69
Na (0.4445, 0.5205, 0.6568) x1  7 O 2.52-2.81
Na (0.4552, 0.8593, 0.3290) x1  6 O 2.50-2.74
Na (0.4647, 0.1907, 0.9958) x1  3 O 2.35-2.60
Na (0.4967, 0.5464, 0.3279) x1  6 O 2.46-2.75
Na (0.4986, 0.8471, 0.6567) x1  5 O 2.37-2.66
Na (0.5025, 0.5143, 0.9989) x1  6 O 2.49-2.78
Na (0.5088, 0.8729, 0.0012) x1  5 O 2.45-2.73
Na (0.5180, 0.2120, 0.6605) x1  5 O 2.43-2.65
Na (0.6237, 0.7141, 0.1653) x1  6 O 2.39-2.61
Na (0.6312, 0.3735, 0.4979) x1  5 O 2.46-2.74
Na (0.6385, 0.0109, 0.4941) x1  5 O 2.45-2.66
Na (0.6415, 0.3464, 0.1602) x1  4 O 2.37-2.64
Na (0.6428, 0.0432, 0.8268) x1  7 O 2.48-2.75
Na (0.6757, 0.3595, 0.8284) x1  6 O 2.45-2.71
Na (0.6763, 0.6931, 0.4898) x1  5 O 2.37-2.64
Na (0.6963, 0.0175, 0.1624) x1  6 O 2.47-2.73
Na (0.8131, 0.1888, 0.7432) x1  5 O 2.41-2.66
Na (0.8156, 0.5331, 0.9153) x1  5 O 2.43-2.59
Na (0.8157, 0.8633, 0.0784) x1  6 O 2.53-2.75
Na (0.8251, 0.5286, 0.4127) x1  6 O 2.48-2.68
Na (0.8266, 0.8690, 0.5756) x1  5 O 2.40-2.67
Na (0.8281, 0.1864, 0.2489) x1  6 O 2.45-2.74
Na (0.9422, 0.0231, 0.6571) x1  6 O 2.46-2.74
Na (0.9526, 0.6957, 0.9929) x1  5 O 2.47-2.59
Na (0.9688, 0.3571, 0.3321) x1  5 O 2.44-2.72
Na (0.9980, 0.3462, 0.6546) x1  5 O 2.40-2.67
In (0.3065, 0.3652, 0.2312) x1  5 O 2.06-2.29
In (0.3105, 0.3576, 0.4296) x1  6 O 2.07-2.29
In (0.3181, 0.6933, 0.5944) x1  5 O 2.06-2.22
In (0.3239, 0.0144, 0.0633) x1  4 O 2.04-2.14
In (0.3303, 0.6912, 0.0948) x1  5 O 2.05-2.20
In (0.3306, 0.3652, 0.7302) x1  5 O 2.07-2.29
In (0.8100, 0.1908, 0.5932) x1  5 O 2.05-2.24
In (0.8179, 0.5164, 0.5603) x1  4 O 2.04-2.13
In (0.8202, 0.8644, 0.2339) x1  5 O 2.08-2.21
In (0.8227, 0.1921, 0.0969) x1  5 O 2.07-2.24
In (0.8302, 0.8574, 0.9302) x1  6 O 2.09-2.29
In (0.8349, 0.8667, 0.7312) x1  5 O 2.08-2.30
Si (0.0261, 0.0263, 0.1614) x1  4 O 1.64-1.66
Si (0.1121, 0.8551, 0.3289) x1  4 O 1.63-1.67
Si (0.1138, 0.5257, 0.6629) x1  4 O 1.63-1.67
Si (0.1682, 0.5111, 0.3303) x1  4 O 1.63-1.66
Si (0.1693, 0.5405, 0.9967) x1  4 O 1.63-1.68
Si (0.1708, 0.2095, 0.3286) x1  4 O 1.62-1.68
Si (0.1757, 0.8380, 0.9960) x1  4 O 1.63-1.67
Si (0.1763, 0.8807, 0.6626) x1  4 O 1.63-1.66
Si (0.4627, 0.2106, 0.8295) x1  4 O 1.62-1.68
Si (0.4691, 0.5468, 0.4961) x1  4 O 1.64-1.66
Si (0.4711, 0.8761, 0.1645) x1  4 O 1.64-1.66
Si (0.4722, 0.5126, 0.8294) x1  4 O 1.63-1.66
Si (0.4732, 0.8374, 0.4956) x1  4 O 1.63-1.67
Si (0.5226, 0.1926, 0.4973) x1  4 O 1.63-1.66
Si (0.5291, 0.5242, 0.1632) x1  4 O 1.64-1.66
Si (0.6113, 0.0245, 0.6639) x1  4 O 1.64-1.67
Si (0.6178, 0.6924, 0.9967) x1  4 O 1.62-1.67
Si (0.6676, 0.0130, 0.3290) x1  4 O 1.63-1.66
Si (0.6683, 0.0445, 0.9970) x1  4 O 1.63-1.67
Si (0.6743, 0.3374, 0.9952) x1  4 O 1.62-1.68
Si (0.6745, 0.3769, 0.6647) x1  4 O 1.63-1.68
Si (0.6785, 0.7101, 0.3293) x1  4 O 1.62-1.67
Si (0.9654, 0.3380, 0.4963) x1  4 O 1.63-1.66
Si (0.9646, 0.3810, 0.1624) x1  4 O 1.64-1.66
Si (0.9689, 0.7088, 0.8287) x1  4 O 1.61-1.68
Si (0.9704, 0.0405, 0.4981) x1  4 O 1.64-1.65
Si (0.9727, 0.0133, 0.8307) x1  4 O 1.63-1.67
Sn (0.3118, 0.0216, 0.2682) x1  5 O 2.02-2.06
Sn (0.3168, 0.6862, 0.8996) x1  5 O 2.01-2.14
Sn (0.3188, 0.0279, 0.7645) x1  6 O 2.01-2.25
Sn (0.3234, 0.0168, 0.5555) x1  5 O 2.00-2.08
Sn (0.3260, 0.6948, 0.3921) x1  5 O 2.00-2.07
Sn (0.3335, 0.3620, 0.9291) x1  6 O 2.02-2.26
Sn (0.8085, 0.1899, 0.8961) x1  5 O 1.98-2.19
Sn (0.8152, 0.8639, 0.4258) x1  5 O 1.98-2.09
Sn (0.8183, 0.5179, 0.0566) x1  5 O 1.99-2.09
Sn (0.8195, 0.5288, 0.7641) x1  5 O 2.01-2.12
Sn (0.8223, 0.5285, 0.2647) x1  5 O 2.01-2.12
Sn (0.8246, 0.1856, 0.3992) x1  5 O 2.01-2.12
S (0.0236, 0.6947, 0.4959) x1  4 O 1.48-1.50
S (0.0277, 0.3567, 0.8299) x1  4 O 1.48-1.50
S (0.1160, 0.1960, 0.9940) x1  4 O 1.48-1.50
S (0.1744, 0.1715, 0.6626) x1  4 O 1.48-1.50
S (0.4641, 0.1721, 0.1632) x1  4 O 1.47-1.50
S (0.5235, 0.8579, 0.8280) x1  4 O 1.47-1.52
S (0.6176, 0.3580, 0.3280) x1  4 O 1.47-1.51
S (0.6746, 0.6734, 0.6628) x1  4 O 1.48-1.50
S (0.9656, 0.6705, 0.1608) x1  4 O 1.47-1.51
O (0.0040, 0.8766, 0.3844) x1  1 Si 1.64
O (0.0105, 0.5432, 0.7220) x1  1 Si 1.67
O (0.0143, 0.1788, 0.6595) x1  1 S 1.48
O (0.0163, 0.5128, 0.6035) x1  1 Si 1.63
O (0.0174, 0.1823, 0.9424) x1  1 S 1.50
O (0.0270, 0.8391, 0.2669) x1  1 Si 1.63
O (0.0334, 0.2099, 0.0492) x1  1 S 1.48
O (0.1041, 0.7080, 0.5518) x1  1 S 1.48
O (0.1113, 0.3437, 0.7751) x1  1 S 1.48
O (0.1204, 0.0157, 0.1004) x1  1 Si 1.64
O (0.1219, 0.6802, 0.4452) x1  1 S 1.48
O (0.1246, 0.3705, 0.8817) x1  1 S 1.49
O (0.1256, 0.6771, 0.1575) x1  1 S 1.48
O (0.1321, 0.0453, 0.2188) x1  1 Si 1.65
O (0.1421, 0.3484, 0.4944) x1  1 Si 1.63
O (0.1425, 0.3688, 0.1636) x1  1 Si 1.65
O (0.1494, 0.0402, 0.5031) x1  1 Si 1.65
O (0.1515, 0.7024, 0.8339) x1  1 Si 1.68
O (0.1524, 0.0145, 0.8227) x1  1 Si 1.66
O (0.1849, 0.4502, 0.3874) x1  1 Si 1.63
O (0.1888, 0.5981, 0.9367) x1  1 Si 1.66
O (0.1902, 0.2671, 0.2690) x1  1 Si 1.65
O (0.1980, 0.7798, 0.0540) x1  1 Si 1.63
O (0.2000, 0.1184, 0.7162) x1  1 S 1.50
O (0.1997, 0.9465, 0.6086) x1  1 Si 1.63
O (0.2069, 0.4370, 0.6683) x1  1 Si 1.65
O (0.2090, 0.1200, 0.9971) x1  1 S 1.48
O (0.2109, 0.2716, 0.9873) x1  1 S 1.49
O (0.2138, 0.9419, 0.3272) x1  1 Si 1.67
O (0.2186, 0.6101, 0.6616) x1  1 Si 1.65
O (0.2253, 0.7759, 0.3363) x1  1 Si 1.64
O (0.2352, 0.1134, 0.3233) x1  1 Si 1.64
O (0.2406, 0.2563, 0.6697) x1  1 S 1.49
O (0.2417, 0.1335, 0.6096) x1  1 S 1.48
O (0.2423, 0.2487, 0.3879) x1  1 Si 1.62
O (0.2464, 0.6030, 0.3383) x1  1 Si 1.64
O (0.2491, 0.4467, 0.9870) x1  1 Si 1.68
O (0.2508, 0.9212, 0.7233) x1  1 Si 1.66
O (0.2515, 0.9321, 0.9947) x1  1 Si 1.65
O (0.2518, 0.4777, 0.2706) x1  1 Si 1.64
O (0.2528, 0.5766, 0.0548) x1  1 Si 1.63
O (0.2543, 0.7956, 0.9363) x1  1 Si 1.67
O (0.2555, 0.7880, 0.6582) x1  1 Si 1.65
O (0.3833, 0.7858, 0.1626) x1  1 Si 1.65
O (0.3862, 0.4766, 0.7717) x1  1 Si 1.63
O (0.3887, 0.2531, 0.8889) x1  1 Si 1.65
O (0.3907, 0.5829, 0.5562) x1  1 Si 1.64
O (0.3921, 0.6042, 0.8367) x1  1 Si 1.64
O (0.3928, 0.9242, 0.2211) x1  1 Si 1.66
O (0.3965, 0.7945, 0.4382) x1  1 Si 1.63
O (0.4002, 0.2581, 0.1695) x1  1 S 1.49
O (0.4013, 0.1376, 0.1076) x1  1 S 1.49
O (0.4016, 0.1129, 0.8261) x1  1 Si 1.65
O (0.4021, 0.4520, 0.4890) x1  1 Si 1.64
O (0.4080, 0.9334, 0.4975) x1  1 Si 1.64
O (0.4200, 0.1067, 0.5023) x1  1 Si 1.66
O (0.4228, 0.2764, 0.4895) x1  1 Si 1.63
O (0.4225, 0.6065, 0.1612) x1  1 Si 1.64
O (0.4236, 0.7842, 0.8328) x1  1 S 1.49
O (0.4303, 0.9366, 0.8248) x1  1 S 1.52
O (0.4350, 0.1177, 0.2142) x1  1 S 1.47
O (0.4355, 0.4354, 0.1672) x1  1 Si 1.66
O (0.4386, 0.6078, 0.4389) x1  1 Si 1.65
O (0.4402, 0.2681, 0.7714) x1  1 Si 1.62
O (0.4532, 0.4491, 0.8867) x1  1 Si 1.66
O (0.4563, 0.7825, 0.5560) x1  1 Si 1.64
O (0.4624, 0.9342, 0.1050) x1  1 Si 1.64
O (0.4895, 0.0157, 0.3231) x1  1 Si 1.64
O (0.4891, 0.0441, 0.0003) x1  1 Si 1.65
O (0.4925, 0.3429, 0.9901) x1  1 Si 1.68
O (0.4970, 0.3642, 0.6671) x1  1 Si 1.65
O (0.4985, 0.7008, 0.3340) x1  1 Si 1.66
O (0.5066, 0.0099, 0.6060) x1  1 Si 1.64
O (0.5083, 0.6686, 0.9412) x1  1 Si 1.65
O (0.5099, 0.0434, 0.7233) x1  1 Si 1.67
O (0.5136, 0.6805, 0.6602) x1  1 S 1.48
O (0.5271, 0.3725, 0.3812) x1  1 S 1.48
O (0.5299, 0.3465, 0.2742) x1  1 S 1.47
O (0.5304, 0.7119, 0.0573) x1  1 Si 1.62
O (0.6071, 0.2134, 0.5590) x1  1 Si 1.63
O (0.6109, 0.8466, 0.7742) x1  1 S 1.47
O (0.6136, 0.8724, 0.8810) x1  1 S 1.48
O (0.6262, 0.1806, 0.1603) x1  1 S 1.50
O (0.6309, 0.5088, 0.1040) x1  1 Si 1.65
O (0.6327, 0.5422, 0.2217) x1  1 Si 1.66
O (0.6345, 0.1704, 0.4428) x1  1 Si 1.64
O (0.6450, 0.2061, 0.8343) x1  1 Si 1.68
O (0.6483, 0.8634, 0.1690) x1  1 Si 1.64
O (0.6491, 0.5456, 0.4992) x1  1 Si 1.66
O (0.6519, 0.5128, 0.8232) x1  1 Si 1.66
O (0.6541, 0.8440, 0.4894) x1  1 Si 1.67
O (0.6863, 0.9513, 0.3873) x1  1 Si 1.66
O (0.6867, 0.4380, 0.6077) x1  1 Si 1.63
O (0.6905, 0.1041, 0.9374) x1  1 Si 1.67
O (0.6913, 0.2795, 0.0534) x1  1 Si 1.62
O (0.6982, 0.7661, 0.2705) x1  1 Si 1.62
O (0.6998, 0.6188, 0.7155) x1  1 S 1.50
O (0.7047, 0.9357, 0.6681) x1  1 Si 1.66
O (0.7102, 0.4365, 0.3246) x1  1 S 1.51
O (0.7167, 0.2844, 0.3332) x1  1 S 1.49
O (0.7177, 0.1072, 0.6618) x1  1 Si 1.64
O (0.7176, 0.7758, 0.9889) x1  1 Si 1.62
O (0.7210, 0.6064, 0.0015) x1  1 Si 1.67
O (0.7368, 0.4335, 0.9967) x1  1 Si 1.63
O (0.7372, 0.9510, 0.9891) x1  1 Si 1.63
O (0.7403, 0.6365, 0.6092) x1  1 S 1.48
O (0.7401, 0.7580, 0.6704) x1  1 S 1.48
O (0.7424, 0.6118, 0.3260) x1  1 Si 1.67
O (0.7487, 0.7521, 0.3895) x1  1 Si 1.65
O (0.7498, 0.2970, 0.9353) x1  1 Si 1.65
O (0.7499, 0.4229, 0.7240) x1  1 Si 1.68
O (0.7514, 0.0844, 0.0542) x1  1 Si 1.63
O (0.7507, 0.1045, 0.3367) x1  1 Si 1.65
O (0.7511, 0.9782, 0.2705) x1  1 Si 1.63
O (0.7598, 0.2862, 0.6635) x1  1 Si 1.64
O (0.8838, 0.2888, 0.1582) x1  1 Si 1.65
O (0.8857, 0.2943, 0.4380) x1  1 Si 1.66
O (0.8863, 0.9804, 0.7716) x1  1 Si 1.64
O (0.8873, 0.9489, 0.4899) x1  1 Si 1.65
O (0.8892, 0.4226, 0.2221) x1  1 Si 1.66
O (0.8892, 0.4321, 0.4943) x1  1 Si 1.65
O (0.8922, 0.0777, 0.5576) x1  1 Si 1.64
O (0.8966, 0.1081, 0.8380) x1  1 Si 1.67
O (0.8967, 0.7475, 0.8874) x1  1 Si 1.61
O (0.8971, 0.7537, 0.1659) x1  1 S 1.47
O (0.9001, 0.6304, 0.1074) x1  1 S 1.49
O (0.9054, 0.6104, 0.8240) x1  1 Si 1.67
O (0.9226, 0.1121, 0.1610) x1  1 Si 1.66
O (0.9268, 0.7692, 0.4897) x1  1 S 1.49
O (0.9294, 0.9397, 0.1651) x1  1 Si 1.64
O (0.9295, 0.2828, 0.8365) x1  1 S 1.49
O (0.9306, 0.6175, 0.4993) x1  1 S 1.50
O (0.9357, 0.4346, 0.8273) x1  1 S 1.50
O (0.9403, 0.6170, 0.2143) x1  1 S 1.51
O (0.9427, 0.2827, 0.5562) x1  1 Si 1.64
O (0.9425, 0.4454, 0.1071) x1  1 Si 1.64
O (0.9466, 0.7652, 0.7687) x1  1 Si 1.65
O (0.9519, 0.1004, 0.4394) x1  1 Si 1.65
O (0.9527, 0.9528, 0.8877) x1  1 Si 1.63
O (0.9883, 0.2042, 0.3345) x1  1 Si 1.68
O (0.9881, 0.5124, 0.3225) x1  1 Si 1.66
O (0.9910, 0.5395, 0.0016) x1  1 Si 1.64
O (0.9982, 0.8686, 0.6642) x1  1 Si 1.65
O (0.9991, 0.8486, 0.9935) x1  1 Si 1.63

***

[4]
Density functional theory data (PBE) for crystalline NdGe2Rh2 at its relaxed geometry.

Calculated values
* energy: -33.206 eV per formula unit

Lattice parameters (Å, degrees): 4.1853 4.1853 10.5676 90.00 90.00 90.00
Last column: nearest neighbours and their distance in Å.
Space group I4/mmm (No. 139)
Asymmetric unit:
Nd (0.0000, 0.0000, 0.0000) x2  8 Ge 3.24, 8 Rh 3.37
Ge (0.0000, 0.0000, 0.3759) x4  4 Rh 2.48, 1 Ge 2.62
Rh (0.0000, 0.5000, 0.2500) x4  4 Ge 2.48

***

[5]
Density functional theory data (PBE) for crystalline TmH3C3O6 at its relaxed geometry.

Calculated values
* energy: -90.601 eV per formula unit
* maximum piezoelectric response: 0.30 C/m2
* M_tot: 0.00 μB/f.u.

Lattice parameters (Å, degrees): 10.3687 10.3687 3.9386 90.00 90.00 120.00
Last column: nearest neighbours and their distance in Å.
Space group R3m (No. 160, hexagonal axes)
Asymmetric unit:
Tm (0.0000, 0.0000, 0.0000) x3  9 O 2.35-2.49
H (0.1722, 0.3443, 0.1865) x9  1 C 1.10
C (0.0258, 0.5129, 0.1203) x9  1 H 1.10
O (0.0834, 0.1667, 0.5056) x9  1 C 1.28
O (0.2025, 0.4049, 0.6864) x9  1 C 1.27

***

[6]
Density functional theory data (PBE) for crystalline Sr3Pa at its relaxed geometry.

Calculated values
* energy: -11.693 eV per formula unit
* M_tot: 2.95 μB/f.u.

Lattice parameters (Å, degrees): 8.9692 8.9692 8.9692 90.00 90.00 90.00
Last column: nearest neighbours and their distance in Å.
Space group Fm-3m (No. 225)
Asymmetric unit:
Sr (0.0000, 0.0000, 0.0000) x4  8 Sr 3.88
Sr (0.2500, 0.2500, 0.2500) x8  4 Pa 3.88, 4 Sr 3.88
Pa (0.0000, 0.0000, 0.5000) x4  8 Sr 3.88